{"formula": "YFe2O4", "functional": "PBE with a Hubbard U", "state": "optimized geometry", "formation_enthalpy_0k_ev_per_atom": -2.30, "total_energy_ev_per_atom": -7.438, "de_polymorph_mev_per_atom": 142, "sg": "No. 88", "cell": [[-2.8760, 2.8760, 5.0400], [2.8760, -2.8760, 5.0400], [2.8760, 2.8760, -5.0400]], "species": ["Y", "Y", "Fe", "Fe", "Fe", "Fe", "O", "O", "O", "O", "O", "O", "O", "O"], "frac_coords": [[0.0000, 0.0000, 0.0000], [0.7500, 0.2500, 0.5000], [0.3750, 0.1250, 0.7500], [0.3750, 0.6250, 0.2500], [0.8750, 0.6250, 0.2500], [0.3750, 0.6250, 0.7500], [0.1462, 0.5958, 0.8494], [0.7464, 0.2968, 0.1506], [0.6038, 0.6542, 0.6506], [0.0036, 0.9532, 0.3494], [0.3458, 0.9964, 0.9496], [0.0468, 0.3962, 0.0504], [0.7032, 0.8538, 0.4496], [0.4042, 0.2536, 0.5504]]}

{"formula": "YFe2O4", "functional": "PBE with a Hubbard U", "state": "optimized geometry", "formation_enthalpy_0k_ev_per_atom": -2.35, "total_energy_ev_per_atom": -7.479, "de_polymorph_mev_per_atom": 101, "sg": "No. 74", "cell": [[4.9208, 3.8545, 0.9900], [-2.7928, 1.9828, 5.3217], [1.2287, -6.1343, -0.9548]], "species": ["Y", "Y", "Fe", "Fe", "Fe", "Fe", "O", "O", "O", "O", "O", "O", "O", "O"], "frac_coords": [[0.0000, 0.5000, 0.5000], [0.5000, 0.5000, 0.0000], [0.3745, 0.1245, 0.2500], [0.6255, 0.8755, 0.7500], [0.0000, 0.5000, 0.0000], [0.0000, 0.0000, 0.5000], [0.7574, 0.7567, 0.0007], [0.2561, 0.7567, 0.4993], [0.7565, 0.7563, 0.4998], [0.2426, 0.2433, 0.9993], [0.2435, 0.7432, 0.9998], [0.7439, 0.2433, 0.5007], [0.7565, 0.2568, 0.0002], [0.2435, 0.2437, 0.5002]]}

{"formula": "Zn2Fe2O5", "functional": "PBE with a Hubbard U", "state": "optimized geometry", "formation_enthalpy_0k_ev_per_atom": -1.60, "total_energy_ev_per_atom": -5.625, "sg": "No. 55", "cell": [[3.2954, 0.0000, 0.0000], [0.0000, 7.4233, 0.0000], [0.0000, 0.0000, 10.3686]], "species": ["Zn", "Zn", "Zn", "Zn", "Fe", "Fe", "Fe", "Fe", "O", "O", "O", "O", "O", "O", "O", "O", "O", "O"], "frac_coords": [[0.5000, 0.8933, 0.8756], [0.5000, 0.1067, 0.1244], [0.5000, 0.3933, 0.6244], [0.5000, 0.6067, 0.3756], [0.0000, 0.8061, 0.6074], [0.0000, 0.1939, 0.3926], [0.0000, 0.6939, 0.1074], [0.0000, 0.3061, 0.8926], [0.0000, 0.0000, 0.5000], [0.0000, 0.6538, 0.2858], [0.0000, 0.1538, 0.2142], [0.0000, 0.8462, 0.7858], [0.5000, 0.8334, 0.0680], [0.5000, 0.1666, 0.9320], [0.0000, 0.3462, 0.7142], [0.5000, 0.6666, 0.5680], [0.0000, 0.5000, 0.0000], [0.5000, 0.3334, 0.4320]]}

{"formula": "ZnFe5O7", "functional": "PBE with a Hubbard U", "state": "optimized geometry", "formation_enthalpy_0k_ev_per_atom": -1.52, "total_energy_ev_per_atom": -6.303, "sg": "No. 63", "cell": [[1.4940, -5.1106, 0.0000], [1.4940, 5.1106, 0.0000], [0.0000, 0.0000, 18.2718]], "species": ["Zn", "Zn", "Fe", "Fe", "Fe", "Fe", "Fe", "Fe", "Fe", "Fe", "Fe", "Fe", "O", "O", "O", "O", "O", "O", "O", "O", "O", "O", "O", "O", "O", "O"], "frac_coords": [[0.2134, 0.7866, 0.7500], [0.7866, 0.2134, 0.2500], [0.7293, 0.2707, 0.5776], [0.5337, 0.4663, 0.1601], [0.0000, 0.0000, 0.5000], [0.0000, 0.0000, 0.0000], [0.4663, 0.5337, 0.8399], [0.2707, 0.7293, 0.4224], [0.2707, 0.7293, 0.0776], [0.7293, 0.2707, 0.9224], [0.4663, 0.5337, 0.6601], [0.5337, 0.4663, 0.3399], [0.3492, 0.6508, 0.9650], [0.6508, 0.3492, 0.0350], [0.6508, 0.3492, 0.4650], [0.3492, 0.6508, 0.5350], [0.8173, 0.1827, 0.8288], [0.1827, 0.8173, 0.1712], [0.1827, 0.8173, 0.3288], [0.8173, 0.1827, 0.6712], [0.0956, 0.9044, 0.9017], [0.9044, 0.0956, 0.0983], [0.9044, 0.0956, 0.4017], [0.0956, 0.9044, 0.5983], [0.5758, 0.4242, 0.7500], [0.4242, 0.5758, 0.2500]]}

{"formula": "ZnFe4O9", "functional": "PBE with a Hubbard U", "state": "optimized geometry", "formation_enthalpy_0k_ev_per_atom": -1.13, "total_energy_ev_per_atom": -5.736, "sg": "No. 81", "cell": [[-0.3231, 8.4134, -0.4612], [-7.1839, -0.5162, -4.3850], [-2.6935, 0.1376, 4.3966]], "species": ["Zn", "Zn", "Fe", "Fe", "Fe", "Fe", "Fe", "Fe", "Fe", "Fe", "O", "O", "O", "O", "O", "O", "O", "O", "O", "O", "O", "O", "O", "O", "O", "O", "O", "O"], "frac_coords": [[0.0000, 0.5000, 0.4786], [0.5000, 0.0000, 0.5214], [0.7164, 0.4094, 0.8855], [0.4094, 0.2836, 0.1145], [0.9101, 0.7823, 0.8804], [0.2177, 0.9101, 0.1196], [0.2836, 0.5906, 0.8855], [0.0899, 0.2177, 0.8804], [0.7823, 0.0899, 0.1196], [0.5906, 0.7164, 0.1145], [0.5000, 0.5000, 0.0000], [0.0000, 0.0000, 0.0000], [0.5692, 0.7816, 0.4606], [0.7180, 0.0656, 0.4587], [0.2820, 0.9344, 0.4587], [0.4308, 0.2184, 0.4606], [0.9344, 0.7180, 0.5413], [0.7816, 0.4308, 0.5394], [0.2184, 0.5692, 0.5394], [0.0656, 0.2820, 0.5413], [0.2097, 0.3939, 0.0380], [0.1061, 0.7117, 0.0364], [0.8939, 0.2883, 0.0364], [0.7903, 0.6061, 0.0380], [0.7117, 0.8939, 0.9636], [0.3939, 0.7903, 0.9620], [0.6061, 0.2097, 0.9620], [0.2883, 0.1061, 0.9636]]}

{"formula": "ZnFeO2", "functional": "PBE with a Hubbard U", "state": "optimized geometry", "formation_enthalpy_0k_ev_per_atom": -1.40, "total_energy_ev_per_atom": -5.398, "de_polymorph_mev_per_atom": 106, "sg": "No. 12", "cell": [[1.4920, 7.8279, 0.0000], [-1.4920, 7.8279, 0.0000], [0.0000, 5.9736, 7.7645]], "species": ["Zn", "Zn", "Zn", "Zn", "Fe", "Fe", "Fe", "Fe", "O", "O", "O", "O", "O", "O", "O", "O"], "frac_coords": [[0.6861, 0.6861, 0.2947], [0.3139, 0.3139, 0.7053], [0.9865, 0.9865, 0.3926], [0.0135, 0.0135, 0.6074], [0.3731, 0.3731, 0.9519], [0.8452, 0.8452, 0.3227], [0.1548, 0.1548, 0.6773], [0.6269, 0.6269, 0.0481], [0.1443, 0.1443, 0.9010], [0.5266, 0.5266, 0.7467], [0.4734, 0.4734, 0.2533], [0.8557, 0.8557, 0.0990], [0.8361, 0.8361, 0.8426], [0.2067, 0.2067, 0.4227], [0.1639, 0.1639, 0.1574], [0.7933, 0.7933, 0.5773]]}

{"formula": "Zn9Fe21O40", "functional": "PBE with a Hubbard U", "state": "optimized geometry", "formation_enthalpy_0k_ev_per_atom": -1.63, "total_energy_ev_per_atom": -6.096, "sg": "No. 2", "cell": [[1.5736, 4.8459, 3.2409], [1.3973, -0.2904, -5.8887], [-23.0354, 7.7156, -5.8044]], "species": ["Zn", "Zn", "Zn", "Zn", "Zn", "Zn", "Zn", "Zn", "Zn", "Fe", "Fe", "Fe", "Fe", "Fe", "Fe", "Fe", "Fe", "Fe", "Fe", "Fe", "Fe", "Fe", "Fe", "Fe", "Fe", "Fe", "Fe", "Fe", "Fe", "Fe", "O", "O", "O", "O", "O", "O", "O", "O", "O", "O", "O", "O", "O", "O", "O", "O", "O", "O", "O", "O", "O", "O", "O", "O", "O", "O", "O", "O", "O", "O", "O", "O", "O", "O", "O", "O", "O", "O", "O", "O"], "frac_coords": [[0.2502, 0.8756, 0.1253], [0.7500, 0.8752, 0.1251], [0.0498, 0.2744, 0.3247], [0.5500, 0.2748, 0.3249], [0.8503, 0.6754, 0.5263], [0.7500, 0.8764, 0.6248], [0.6500, 0.0750, 0.7250], [0.4497, 0.4746, 0.9237], [0.5500, 0.2736, 0.8252], [0.3507, 0.6758, 0.0257], [0.0003, 0.0056, 0.0014], [0.2495, 0.3745, 0.1254], [0.0505, 0.7755, 0.3246], [0.6965, 0.3427, 0.0489], [0.4944, 0.7403, 0.2483], [0.1500, 0.0750, 0.2250], [0.6035, 0.8073, 0.4011], [0.8056, 0.4097, 0.2017], [0.3504, 0.6764, 0.5259], [0.1056, 0.5461, 0.6515], [0.2997, 0.1444, 0.4486], [0.9493, 0.4742, 0.4243], [0.1944, 0.6039, 0.7985], [0.3948, 0.2044, 0.5995], [0.8493, 0.1759, 0.5257], [0.1500, 0.0750, 0.7250], [0.4507, 0.9741, 0.9243], [0.6500, 0.5750, 0.7250], [0.9052, 0.9456, 0.8505], [0.9496, 0.4736, 0.9241], [0.0663, 0.5250, 0.0754], [0.5326, 0.5249, 0.0746], [0.3342, 0.9264, 0.2746], [0.4407, 0.7109, 0.1707], [0.0580, 0.0383, 0.0785], [0.9602, 0.7453, 0.1758], [0.2337, 0.6250, 0.3746], [0.4337, 0.2250, 0.1752], [0.8663, 0.9250, 0.2748], [0.1456, 0.8028, 0.4749], [0.5386, 0.0055, 0.0740], [0.3398, 0.4047, 0.2742], [0.1422, 0.3366, 0.4750], [0.0517, 0.5197, 0.5722], [0.2420, 0.1117, 0.3715], [0.7674, 0.6251, 0.3754], [0.6484, 0.8319, 0.4791], [0.9658, 0.2236, 0.1754], [0.8593, 0.4391, 0.2793], [0.3480, 0.9399, 0.7728], [0.7614, 0.1445, 0.3760], [0.5465, 0.5376, 0.5724], [0.0345, 0.0258, 0.5722], [0.6699, 0.3292, 0.4741], [0.4679, 0.7256, 0.6773], [0.9475, 0.7325, 0.6785], [0.8530, 0.9174, 0.7713], [0.2483, 0.6303, 0.8778], [0.1578, 0.8134, 0.9750], [0.5496, 0.0205, 0.5718], [0.3525, 0.4175, 0.7715], [0.4470, 0.2326, 0.6787], [0.1544, 0.3472, 0.9751], [0.8321, 0.4244, 0.7727], [0.6301, 0.8208, 0.9759], [0.9520, 0.2101, 0.6772], [0.7535, 0.6124, 0.8776], [0.2655, 0.1242, 0.8778], [0.7504, 0.1295, 0.8782], [0.6516, 0.3181, 0.9709]]}

{"formula": "ZnFeO2", "functional": "PBE with a Hubbard U", "state": "optimized geometry", "formation_enthalpy_0k_ev_per_atom": -1.50, "total_energy_ev_per_atom": -5.504, "de_polymorph_mev_per_atom": 0, "sg": "No. 2", "cell": [[3.0929, 0.0000, 0.0000], [-0.1013, 8.0295, 0.0000], [-0.6598, -0.0221, 8.3646]], "species": ["Zn", "Zn", "Zn", "Zn", "Fe", "Fe", "Fe", "Fe", "O", "O", "O", "O", "O", "O", "O", "O"], "frac_coords": [[0.8425, 0.5798, 0.2334], [0.1575, 0.4202, 0.7666], [0.2616, 0.2468, 0.3943], [0.7384, 0.7532, 0.6057], [0.4782, 0.7566, 0.9270], [0.2170, 0.9127, 0.2811], [0.7830, 0.0873, 0.7189], [0.5218, 0.2434, 0.0730], [0.9891, 0.2397, 0.9222], [0.2543, 0.8930, 0.7223], [0.7457, 0.1070, 0.2777], [0.0109, 0.7603, 0.0778], [0.6672, 0.5763, 0.7634], [0.7107, 0.7660, 0.3805], [0.3328, 0.4237, 0.2366], [0.2893, 0.2340, 0.6195]]}

{"formula": "ZnFe4O9", "functional": "PBE with a Hubbard U", "state": "optimized geometry", "formation_enthalpy_0k_ev_per_atom": -1.13, "total_energy_ev_per_atom": -5.738, "sg": "No. 1", "cell": [[-3.8047, 1.6562, -3.0635], [-5.1379, 0.5884, 6.6475], [2.4570, 7.9843, 1.2198]], "species": ["Zn", "Zn", "Fe", "Fe", "Fe", "Fe", "Fe", "Fe", "Fe", "Fe", "O", "O", "O", "O", "O", "O", "O", "O", "O", "O", "O", "O", "O", "O", "O", "O", "O", "O"], "frac_coords": [[0.0230, 0.2503, 0.2487], [0.9802, 0.7506, 0.7503], [0.6160, 0.5332, 0.3403], [0.3825, 0.8409, 0.4681], [0.6212, 0.3395, 0.9673], [0.3845, 0.0330, 0.8395], [0.6155, 0.9675, 0.1596], [0.6159, 0.1600, 0.5314], [0.3828, 0.4665, 0.6605], [0.3816, 0.6598, 0.0321], [0.4998, 0.7508, 0.2499], [0.4978, 0.2495, 0.7492], [0.0409, 0.6804, 0.9681], [0.0428, 0.5316, 0.6841], [0.0445, 0.9688, 0.8170], [0.0424, 0.8218, 0.5330], [0.9620, 0.3142, 0.0289], [0.9556, 0.4657, 0.3241], [0.9558, 0.0322, 0.1816], [0.9561, 0.1837, 0.4672], [0.4636, 0.0399, 0.3557], [0.4652, 0.1436, 0.0379], [0.4621, 0.3571, 0.4614], [0.4692, 0.4613, 0.1445], [0.5310, 0.5374, 0.8561], [0.5367, 0.8563, 0.9608], [0.5350, 0.6435, 0.5390], [0.5363, 0.9608, 0.6436]]}

{"formula": "ZnFe4O8", "functional": "PBE with a Hubbard U", "state": "optimized geometry", "formation_enthalpy_0k_ev_per_atom": -1.41, "total_energy_ev_per_atom": -6.041, "de_polymorph_mev_per_atom": 0, "sg": "No. 8", "cell": [[1.4953, 7.1961, 0.0000], [-1.4953, 7.1961, 0.0000], [0.0000, 6.1519, 7.3077]], "species": ["Zn", "Fe", "Fe", "Fe", "Fe", "O", "O", "O", "O", "O", "O", "O", "O"], "frac_coords": [[0.6703, 0.6703, 0.7974], [0.3723, 0.3723, 0.4332], [0.8648, 0.8648, 0.7889], [0.1618, 0.1618, 0.1590], [0.6486, 0.6486, 0.5071], [0.1479, 0.1479, 0.3808], [0.5491, 0.5491, 0.2385], [0.4695, 0.4695, 0.7157], [0.8680, 0.8680, 0.5764], [0.8335, 0.8335, 0.3488], [0.2140, 0.2140, 0.8966], [0.1656, 0.1656, 0.6528], [0.7793, 0.7793, 0.0504]]}

{"formula": "Zn2Fe3O8", "functional": "PBE with a Hubbard U", "state": "optimized geometry", "formation_enthalpy_0k_ev_per_atom": -1.40, "total_energy_ev_per_atom": -5.646, "de_polymorph_mev_per_atom": 32, "sg": "No. 12", "cell": [[1.4398, -5.6937, 0.8701], [2.7764, -1.6631, 4.9774], [-3.4091, -2.0252, 3.0968]], "species": ["Zn", "Zn", "Fe", "Fe", "Fe", "O", "O", "O", "O", "O", "O", "O", "O"], "frac_coords": [[0.7169, 0.7169, 0.3467], [0.2831, 0.2831, 0.6533], [0.0000, 0.0000, 0.5000], [0.7375, 0.2625, 0.0000], [0.2625, 0.7375, 0.0000], [0.3900, 0.3900, 0.9240], [0.6100, 0.6100, 0.0760], [0.8908, 0.8908, 0.9227], [0.1092, 0.1092, 0.0773], [0.3460, 0.8876, 0.6004], [0.8876, 0.3460, 0.6004], [0.1124, 0.6540, 0.3996], [0.6540, 0.1124, 0.3996]]}

{"formula": "ZnFe4O6", "functional": "PBE with a Hubbard U", "state": "optimized geometry", "formation_enthalpy_0k_ev_per_atom": -1.53, "total_energy_ev_per_atom": -6.225, "sg": "No. 63", "cell": [[1.4863, -5.0631, 0.0000], [1.4863, 5.0631, 0.0000], [0.0000, 0.0000, 15.3969]], "species": ["Zn", "Zn", "Fe", "Fe", "Fe", "Fe", "Fe", "Fe", "Fe", "Fe", "O", "O", "O", "O", "O", "O", "O", "O", "O", "O", "O", "O"], "frac_coords": [[0.3474, 0.6526, 0.7500], [0.6526, 0.3474, 0.2500], [0.1350, 0.8650, 0.0469], [0.6001, 0.3999, 0.6365], [0.8650, 0.1350, 0.9531], [0.3999, 0.6001, 0.3635], [0.1350, 0.8650, 0.4531], [0.8650, 0.1350, 0.5469], [0.3999, 0.6001, 0.1365], [0.6001, 0.3999, 0.8635], [0.5000, 0.5000, 0.5000], [0.5000, 0.5000, 0.0000], [0.9651, 0.0349, 0.8368], [0.0349, 0.9651, 0.1632], [0.0349, 0.9651, 0.3368], [0.9651, 0.0349, 0.6632], [0.2119, 0.7881, 0.9172], [0.7881, 0.2119, 0.0828], [0.7881, 0.2119, 0.4172], [0.2119, 0.7881, 0.5828], [0.7019, 0.2981, 0.7500], [0.2981, 0.7019, 0.2500]]}